First-principles (PBE-GGA) data for an optimized crystal structure of LaMg14Mo, as listed in the Materials Project database. Values from VASP.

* V: 23.22 Å³/atom
* E above lowest polymorph: 0.040 eV/atom
* mass density: 2571 kg/m3
* energy relative to the elements: 0.152 eV per atom

Cell and atoms, written as Quantum ESPRESSO input:
```
&SYSTEM
  ibrav = 0, nat = 16, ntyp = 3
/
ATOMIC_SPECIES
La 138.91 La.upf
Mg 24.30 Mg.upf
Mo 95.94 Mo.upf
ATOMIC_POSITIONS angstrom
La 0.000 1.875 1.271
Mg -1.562 4.722 1.271
Mg -1.637 4.678 6.357
Mg 3.247 1.804 1.271
Mg 3.247 1.891 6.357
Mg 1.562 4.722 1.271
Mg 1.637 4.678 6.357
Mg 1.608 0.946 3.983
Mg 1.608 0.946 8.731
Mg 0.000 3.731 3.983
Mg 0.000 3.731 8.731
Mg 4.886 0.946 3.983
Mg 4.886 0.946 8.731
Mg 3.247 3.749 3.735
Mg 3.247 3.749 8.979
Mo 0.000 1.875 6.357
CELL_PARAMETERS angstrom
6.494 0.000 0.000
-3.247 5.624 0.000
0.000 0.000 10.171
```